*w*
Compound: MgV2O4
Source: the Materials Project
Functional: GGA+U
Structure: relaxed

```
data_MgV2O4
_chemical_formula_sum 'Mg6 V12 O24'
_cell_length_a 6.0526
_cell_length_b 6.0526
_cell_length_c 14.8351
_cell_angle_alpha 90.33
_cell_angle_beta 90.33
_cell_angle_gamma 59.93
_space_group_name_H-M_alt 'P 1'
_space_group_IT_number 1
_space_group_name_Hall 'P 1'
loop_
_atom_site_label
_atom_site_fract_x
_atom_site_fract_y
_atom_site_fract_z
_atom_site_occupancy
Mg1 0.0000 0.0000 0.0000 1
Mg2 0.3339 0.3339 0.3348 1
Mg3 0.5013 0.5013 0.5005 1
Mg4 0.6684 0.6684 0.6673 1
Mg5 0.8305 0.8305 0.2086 1
Mg6 0.8365 0.8365 0.8332 1
V1 0.9999 0.5057 0.0004 1
V2 0.1638 0.1638 0.5449 1
V3 0.1681 0.1681 0.1704 1
V4 0.1694 0.6670 0.6671 1
V5 0.1728 0.1728 0.7915 1
V6 0.3306 0.8385 0.3343 1
V7 0.4980 0.4980 0.8764 1
V8 0.5043 0.5043 0.1272 1
V9 0.5057 0.9999 0.0004 1
V10 0.6670 0.1694 0.6671 1
V11 0.8385 0.3306 0.3343 1
V12 0.8393 0.8393 0.4570 1
O1 0.9995 0.5245 0.7460 1
O2 0.0077 0.4691 0.2530 1
O3 0.0116 0.0116 0.2559 1
O4 0.1494 0.6711 0.9199 1
O5 0.1655 0.1655 0.4127 1
O6 0.1690 0.1690 0.9246 1
O7 0.1865 0.6605 0.4136 1
O8 0.3265 0.3265 0.0808 1
O9 0.3280 0.8591 0.0831 1
O10 0.3423 0.3423 0.5883 1
O11 0.3441 0.8127 0.5871 1
O12 0.4691 0.0077 0.2530 1
O13 0.4993 0.4993 0.7436 1
O14 0.5032 0.5032 0.2578 1
O15 0.5245 0.9995 0.7460 1
O16 0.6605 0.1865 0.4136 1
O17 0.6611 0.6611 0.4121 1
O18 0.6711 0.1494 0.9199 1
O19 0.6755 0.6755 0.9219 1
O20 0.8127 0.3441 0.5871 1
O21 0.8331 0.8331 0.0739 1
O22 0.8374 0.8374 0.5907 1
O23 0.8591 0.3280 0.0831 1
O24 0.9948 0.9948 0.7464 1
```

*x*
Compound: MgV2O4
Source: the Materials Project
Functional: GGA+U
Structure: relaxed

```
data_MgV2O4
_chemical_formula_sum 'Mg4 V8 O16'
_cell_length_a 9.1696
_cell_length_b 2.9644
_cell_length_c 10.5598
_cell_angle_alpha 90.00
_cell_angle_beta 90.00
_cell_angle_gamma 90.00
_space_group_name_H-M_alt 'P 1'
_space_group_IT_number 1
_space_group_name_Hall 'P 1'
loop_
_atom_site_label
_atom_site_fract_x
_atom_site_fract_y
_atom_site_fract_z
_atom_site_occupancy
Mg1 0.2452 0.2500 0.1512 1
Mg2 0.2548 0.7500 0.6512 1
Mg3 0.7452 0.2500 0.3488 1
Mg4 0.7548 0.7500 0.8488 1
V1 0.0641 0.2500 0.3820 1
V2 0.0886 0.2500 0.8971 1
V3 0.4114 0.7500 0.3971 1
V4 0.4359 0.7500 0.8820 1
V5 0.5641 0.2500 0.1180 1
V6 0.5886 0.2500 0.6029 1
V7 0.9114 0.7500 0.1029 1
V8 0.9359 0.7500 0.6180 1
O1 0.0316 0.7500 0.7843 1
O2 0.0904 0.2500 0.5733 1
O3 0.1257 0.7500 0.0345 1
O4 0.2065 0.7500 0.3154 1
O5 0.2935 0.2500 0.8154 1
O6 0.3743 0.2500 0.5345 1
O7 0.4096 0.7500 0.0733 1
O8 0.4684 0.2500 0.2843 1
O9 0.5316 0.7500 0.7157 1
O10 0.5904 0.2500 0.9267 1
O11 0.6257 0.7500 0.4655 1
O12 0.7065 0.7500 0.1846 1
O13 0.7935 0.2500 0.6846 1
O14 0.8743 0.2500 0.9655 1
O15 0.9096 0.7500 0.4267 1
O16 0.9684 0.2500 0.2157 1
```

*y*
Compound: MgV2O4
Source: the Materials Project
Functional: GGA+U
Structure: relaxed

```
data_MgV2O4
_chemical_formula_sum 'Mg1 V2 O4'
_cell_length_a 3.0582
_cell_length_b 3.0582
_cell_length_c 10.5500
_cell_angle_alpha 90.26
_cell_angle_beta 90.26
_cell_angle_gamma 119.90
_space_group_name_H-M_alt 'P 1'
_space_group_IT_number 1
_space_group_name_Hall 'P 1'
loop_
_atom_site_label
_atom_site_fract_x
_atom_site_fract_y
_atom_site_fract_z
_atom_site_occupancy
Mg1 0.0000 0.0000 0.0000 1
V1 0.6606 0.3332 0.7449 1
V2 0.6668 0.3394 0.2551 1
O1 0.0020 0.0080 0.3310 1
O2 0.3316 0.6668 0.1218 1
O3 0.3332 0.6684 0.8782 1
O4 0.9920 0.9980 0.6690 1
```

Stability summary - winner: *w*; margin: 4.6 kJ/mol of atoms.

*w*
Compound: Li5MnO4
Source: the Materials Project
Functional: GGA+U
Structure: relaxed

```
data_Li5MnO4
_chemical_formula_sum 'Li10 Mn2 O8'
_cell_length_a 4.6069
_cell_length_b 6.6258
_cell_length_c 6.6258
_cell_angle_alpha 86.90
_cell_angle_beta 90.00
_cell_angle_gamma 90.00
_space_group_name_H-M_alt 'P 1'
_space_group_IT_number 1
_space_group_name_Hall 'P 1'
loop_
_atom_site_label
_atom_site_fract_x
_atom_site_fract_y
_atom_site_fract_z
_atom_site_occupancy
Li1 0.0000 0.0000 0.0000 1
Li2 0.0264 0.9744 0.5572 1
Li3 0.0738 0.7373 0.2965 1
Li4 0.4262 0.2373 0.7965 1
Li5 0.4736 0.4744 0.0572 1
Li6 0.5000 0.5000 0.5000 1
Li7 0.5264 0.0572 0.4744 1
Li8 0.5738 0.7965 0.2373 1
Li9 0.9262 0.2965 0.7373 1
Li10 0.9736 0.5572 0.9744 1
Mn1 0.0000 0.2727 0.2727 1
Mn2 0.5000 0.7727 0.7727 1
O1 0.1423 0.2856 0.0013 1
O2 0.2127 0.2559 0.5253 1
O3 0.2873 0.7559 0.0253 1
O4 0.3577 0.7856 0.5013 1
O5 0.6423 0.5013 0.7856 1
O6 0.7127 0.0253 0.7559 1
O7 0.7873 0.5253 0.2559 1
O8 0.8577 0.0013 0.2856 1
```

*x*
Compound: Li5MnO4
Source: the Materials Project
Functional: GGA+U
Structure: relaxed

```
data_Li5MnO4
_chemical_formula_sum 'Li10 Mn2 O8'
_cell_length_a 6.6125
_cell_length_b 6.7513
_cell_length_c 4.5346
_cell_angle_alpha 90.00
_cell_angle_beta 90.00
_cell_angle_gamma 90.00
_space_group_name_H-M_alt 'P 1'
_space_group_IT_number 1
_space_group_name_Hall 'P 1'
loop_
_atom_site_label
_atom_site_fract_x
_atom_site_fract_y
_atom_site_fract_z
_atom_site_occupancy
Li1 0.0090 0.0519 0.2484 1
Li2 0.0090 0.4481 0.2484 1
Li3 0.2500 0.7500 0.3043 1
Li4 0.4910 0.0519 0.2484 1
Li5 0.4910 0.4481 0.2484 1
Li6 0.5090 0.5519 0.7516 1
Li7 0.5090 0.9481 0.7516 1
Li8 0.7500 0.2500 0.6957 1
Li9 0.9910 0.5519 0.7516 1
Li10 0.9910 0.9481 0.7516 1
Mn1 0.2500 0.2500 0.7329 1
Mn2 0.7500 0.7500 0.2671 1
O1 0.0040 0.7500 0.0746 1
O2 0.2500 0.0014 0.5298 1
O3 0.2500 0.4986 0.5298 1
O4 0.4960 0.7500 0.0746 1
O5 0.5040 0.2500 0.9254 1
O6 0.7500 0.5014 0.4702 1
O7 0.7500 0.9986 0.4702 1
O8 0.9960 0.2500 0.9254 1
```

Stability summary - winner: *w*; margin: 2.3 kJ/mol of atoms.

*w*
Compound: Na3VH11IO13
Source: the Materials Project
Functional: GGA+U
Structure: relaxed

```
data_Na3VH11IO13
_chemical_formula_sum 'Na6 V2 H22 I2 O26'
_cell_length_a 6.9699
_cell_length_b 8.6597
_cell_length_c 12.7607
_cell_angle_alpha 76.83
_cell_angle_beta 86.23
_cell_angle_gamma 85.41
_space_group_name_H-M_alt 'P 1'
_space_group_IT_number 1
_space_group_name_Hall 'P 1'
loop_
_atom_site_label
_atom_site_fract_x
_atom_site_fract_y
_atom_site_fract_z
_atom_site_occupancy
Na1 0.0338 0.1960 0.2639 1
Na2 0.4188 0.1970 0.3959 1
Na3 0.4530 0.8139 0.9230 1
Na4 0.5470 0.1861 0.0770 1
Na5 0.5812 0.8030 0.6041 1
Na6 0.9662 0.8040 0.7361 1
V1 0.0572 0.1794 0.9998 1
V2 0.9428 0.8206 0.0002 1
H1 0.0480 0.5586 0.1560 1
H2 0.0712 0.1608 0.4897 1
H3 0.0981 0.0440 0.8538 1
H4 0.1007 0.6134 0.4166 1
H5 0.1159 0.1304 0.6878 1
H6 0.1282 0.6451 0.6413 1
H7 0.1526 0.5020 0.0559 1
H8 0.2123 0.6092 0.6774 1
H9 0.4226 0.5774 0.8656 1
H10 0.4451 0.0033 0.0060 1
H11 0.4689 0.4288 0.1342 1
H12 0.5311 0.5712 0.8658 1
H13 0.5549 0.9967 0.9940 1
H14 0.5774 0.4226 0.1344 1
H15 0.7877 0.3908 0.3226 1
H16 0.8474 0.4980 0.9441 1
H17 0.8718 0.3549 0.3587 1
H18 0.8841 0.8696 0.3122 1
H19 0.8993 0.3866 0.5834 1
H20 0.9019 0.9560 0.1462 1
H21 0.9288 0.8392 0.5103 1
H22 0.9520 0.4414 0.8440 1
I1 0.2142 0.8397 0.2599 1
I2 0.7858 0.1603 0.7401 1
O1 0.0131 0.0771 0.6627 1
O2 0.0680 0.1621 0.8377 1
O3 0.1094 0.8194 0.8912 1
O4 0.1113 0.2356 0.4244 1
O5 0.1351 0.6177 0.3405 1
O6 0.1371 0.5912 0.0941 1
O7 0.1817 0.9973 0.0317 1
O8 0.2244 0.3110 0.0060 1
O9 0.3101 0.3191 0.6353 1
O10 0.3184 0.0363 0.2409 1
O11 0.3234 0.7950 0.4307 1
O12 0.3966 0.9165 0.4540 1
O13 0.3986 0.3583 0.7055 1
O14 0.6014 0.6417 0.2945 1
O15 0.6034 0.0835 0.5460 1
O16 0.6766 0.2050 0.5693 1
O17 0.6816 0.9637 0.7591 1
O18 0.6899 0.6809 0.3647 1
O19 0.7756 0.6890 0.9940 1
O20 0.8183 0.0027 0.9683 1
O21 0.8629 0.4088 0.9059 1
O22 0.8649 0.3823 0.6595 1
O23 0.8887 0.7644 0.5756 1
O24 0.8906 0.1806 0.1088 1
O25 0.9320 0.8379 0.1623 1
O26 0.9869 0.9229 0.3373 1
```

*x*
Compound: Na3VH11IO13
Source: the Materials Project
Functional: GGA+U
Structure: relaxed

```
data_Na3VH11IO13
_chemical_formula_sum 'Na6 V2 H22 I2 O26'
_cell_length_a 6.3067
_cell_length_b 9.0313
_cell_length_c 11.4543
_cell_angle_alpha 70.05
_cell_angle_beta 83.90
_cell_angle_gamma 80.70
_space_group_name_H-M_alt 'P 1'
_space_group_IT_number 1
_space_group_name_Hall 'P 1'
loop_
_atom_site_label
_atom_site_fract_x
_atom_site_fract_y
_atom_site_fract_z
_atom_site_occupancy
Na1 0.0781 0.2319 0.4263 1
Na2 0.1013 0.4752 0.8526 1
Na3 0.1742 0.0729 0.1597 1
Na4 0.8258 0.9271 0.8403 1
Na5 0.8987 0.5248 0.1474 1
Na6 0.9219 0.7681 0.5737 1
V1 0.4482 0.8239 0.4621 1
V2 0.5518 0.1761 0.5379 1
H1 0.0544 0.8156 0.0645 1
H2 0.1011 0.4231 0.6185 1
H3 0.1452 0.5657 0.3542 1
H4 0.1853 0.1358 0.9047 1
H5 0.2064 0.1348 0.7035 1
H6 0.3089 0.5911 0.9893 1
H7 0.3484 0.4097 0.0749 1
H8 0.3763 0.8409 0.0061 1
H9 0.3859 0.7514 0.1500 1
H10 0.4263 0.3714 0.6802 1
H11 0.4948 0.5183 0.7076 1
H12 0.5052 0.4817 0.2924 1
H13 0.5737 0.6286 0.3198 1
H14 0.6141 0.2486 0.8500 1
H15 0.6237 0.1591 0.9939 1
H16 0.6516 0.5903 0.9251 1
H17 0.6911 0.4089 0.0107 1
H18 0.7936 0.8652 0.2965 1
H19 0.8147 0.8642 0.0953 1
H20 0.8548 0.4343 0.6458 1
H21 0.8989 0.5769 0.3815 1
H22 0.9456 0.1844 0.9355 1
I1 0.3494 0.8618 0.7213 1
I2 0.6506 0.1382 0.2787 1
O1 0.0198 0.5199 0.3449 1
O2 0.0935 0.1976 0.9507 1
O3 0.1111 0.7582 0.7530 1
O4 0.1733 0.0344 0.7725 1
O5 0.2359 0.4978 0.0352 1
O6 0.2474 0.7335 0.4504 1
O7 0.2849 0.9795 0.5503 1
O8 0.3133 0.8478 0.0873 1
O9 0.3193 0.2756 0.5868 1
O10 0.4138 0.0079 0.3162 1
O11 0.4595 0.7616 0.8768 1
O12 0.4609 0.4079 0.7477 1
O13 0.4747 0.2765 0.3588 1
O14 0.5253 0.7235 0.6412 1
O15 0.5391 0.5921 0.2523 1
O16 0.5405 0.2384 0.1232 1
O17 0.5862 0.9921 0.6838 1
O18 0.6807 0.7244 0.4132 1
O19 0.6867 0.1522 0.9127 1
O20 0.7151 0.0205 0.4497 1
O21 0.7526 0.2665 0.5496 1
O22 0.7641 0.5022 0.9648 1
O23 0.8267 0.9656 0.2275 1
O24 0.8889 0.2418 0.2470 1
O25 0.9065 0.8024 0.0493 1
O26 0.9802 0.4801 0.6551 1
```

Stability summary - winner: *x*; margin: 44.4 kJ/mol of atoms.

*w*
Compound: NaMgMnO2
Source: the Materials Project
Functional: GGA+U
Structure: relaxed

```
data_NaMgMnO2
_chemical_formula_sum 'Na1 Mg1 Mn1 O2'
_cell_length_a 3.2203
_cell_length_b 3.2308
_cell_length_c 8.3460
_cell_angle_alpha 92.82
_cell_angle_beta 97.77
_cell_angle_gamma 119.84
_space_group_name_H-M_alt 'P 1'
_space_group_IT_number 1
_space_group_name_Hall 'P 1'
loop_
_atom_site_label
_atom_site_fract_x
_atom_site_fract_y
_atom_site_fract_z
_atom_site_occupancy
Na1 0.0000 0.0000 0.0000 1
Mg1 0.9996 0.5603 0.6068 1
Mn1 0.4978 0.7883 0.3008 1
O1 0.2756 0.1842 0.5039 1
O2 0.7640 0.4049 0.1792 1
```

*x*
Compound: NaMgMnO2
Source: the Materials Project
Functional: GGA+U
Structure: relaxed

```
data_NaMgMnO2
_chemical_formula_sum 'Na1 Mg1 Mn1 O2'
_cell_length_a 3.2084
_cell_length_b 3.2084
_cell_length_c 8.1117
_cell_angle_alpha 98.40
_cell_angle_beta 98.40
_cell_angle_gamma 60.18
_space_group_name_H-M_alt 'P 1'
_space_group_IT_number 1
_space_group_name_Hall 'P 1'
loop_
_atom_site_label
_atom_site_fract_x
_atom_site_fract_y
_atom_site_fract_z
_atom_site_occupancy
Na1 0.0000 0.0000 0.0000 1
Mg1 0.7403 0.7403 0.3064 1
Mn1 0.2569 0.2569 0.6826 1
O1 0.3836 0.3836 0.2146 1
O2 0.6207 0.6207 0.8050 1
```

Stability summary - winner: *x*; margin: 4.5 kJ/mol of atoms.